# 1
## YSiAu (meta-GGA r2SCAN)

Data for crystalline YSiAu at its relaxed geometry.

Unit cell a=4.253 b=4.253 c=7.913 alpha=90.00 beta=90.00 gamma=120.00
Fractional coordinates of all 6 atoms:
1 Y 0.000 0.000 0.000
2 Y 0.000 0.000 0.500
3 Si 0.333 0.667 0.260
4 Si 0.667 0.333 0.760
5 Au 0.333 0.667 0.743
6 Au 0.667 0.333 0.243

Computed properties:
The energy comes out at -1.010 hartree per atom. As for the space group: P6_3mc (186).

***

# 2
## YbSiAu (meta-GGA r2SCAN)

Data for crystalline YbSiAu at its relaxed geometry.

Unit cell a=4.242 b=4.242 c=3.749 alpha=90.00 beta=90.00 gamma=120.00
Fractional coordinates of all 3 atoms:
1 Yb 0.000 0.000 0.000
2 Si 0.667 0.333 0.500
3 Au 0.333 0.667 0.500

Computed properties:
The energy comes out at -1.207 hartree per atom. As for the space group: P-6m2 (187).

***

# 3
## SmAu6 (meta-GGA r2SCAN)

Data for crystalline SmAu6 at its relaxed geometry.

Unit cell a=10.488 b=10.488 c=9.843 alpha=90.00 beta=90.00 gamma=90.00
Fractional coordinates of all 56 atoms:
1 Sm 0.075 0.075 0.211
2 Sm 0.075 0.425 0.711
3 Sm 0.425 0.075 0.711
4 Sm 0.425 0.425 0.211
5 Sm 0.575 0.575 0.789
6 Sm 0.575 0.925 0.289
7 Sm 0.925 0.575 0.289
8 Sm 0.925 0.925 0.789
9 Au 0.000 0.000 0.500
10 Au 0.000 0.500 0.000
11 Au 0.013 0.680 0.578
12 Au 0.013 0.820 0.078
13 Au 0.124 0.698 0.855
14 Au 0.124 0.802 0.355
15 Au 0.146 0.146 0.682
16 Au 0.146 0.354 0.182
17 Au 0.180 0.513 0.422
18 Au 0.180 0.987 0.922
19 Au 0.198 0.624 0.145
20 Au 0.198 0.876 0.645
21 Au 0.250 0.250 0.437
22 Au 0.250 0.250 0.937
23 Au 0.302 0.624 0.645
24 Au 0.302 0.876 0.145
25 Au 0.320 0.513 0.922
26 Au 0.320 0.987 0.422
27 Au 0.354 0.146 0.182
28 Au 0.354 0.354 0.682
29 Au 0.376 0.698 0.355
30 Au 0.376 0.802 0.855
31 Au 0.487 0.680 0.078
32 Au 0.487 0.820 0.578
33 Au 0.500 0.000 0.000
34 Au 0.500 0.500 0.500
35 Au 0.513 0.180 0.422
36 Au 0.513 0.320 0.922
37 Au 0.624 0.198 0.145
38 Au 0.624 0.302 0.645
39 Au 0.646 0.646 0.318
40 Au 0.646 0.854 0.818
41 Au 0.680 0.013 0.578
42 Au 0.680 0.487 0.078
43 Au 0.698 0.124 0.855
44 Au 0.698 0.376 0.355
45 Au 0.750 0.750 0.063
46 Au 0.750 0.750 0.563
47 Au 0.802 0.124 0.355
48 Au 0.802 0.376 0.855
49 Au 0.820 0.013 0.078
50 Au 0.820 0.487 0.578
51 Au 0.854 0.646 0.818
52 Au 0.854 0.854 0.318
53 Au 0.876 0.198 0.645
54 Au 0.876 0.302 0.145
55 Au 0.987 0.180 0.922
56 Au 0.987 0.320 0.422

Computed properties:
The energy comes out at -1.767 hartree per atom. As for the space group: P4_2/ncm (138).

***

# 4
## SmSnAu2 (meta-GGA r2SCAN)

Data for crystalline SmSnAu2 at its relaxed geometry.

Unit cell a=7.071 b=7.071 c=7.071 alpha=90.00 beta=90.00 gamma=90.00
Fractional coordinates of all 16 atoms:
1 Sm 0.000 0.000 0.000
2 Sm 0.000 0.500 0.500
3 Sm 0.500 0.000 0.500
4 Sm 0.500 0.500 0.000
5 Sn 0.000 0.000 0.500
6 Sn 0.000 0.500 0.000
7 Sn 0.500 0.000 0.000
8 Sn 0.500 0.500 0.500
9 Au 0.250 0.250 0.250
10 Au 0.250 0.250 0.750
11 Au 0.250 0.750 0.250
12 Au 0.250 0.750 0.750
13 Au 0.750 0.250 0.250
14 Au 0.750 0.250 0.750
15 Au 0.750 0.750 0.250
16 Au 0.750 0.750 0.750

Computed properties:
The energy comes out at -1.457 hartree per atom. As for the space group: Fm-3m (225).

***

# 5
## SmTlAu2 (meta-GGA r2SCAN)

Data for crystalline SmTlAu2 at its relaxed geometry.

Unit cell a=7.128 b=7.128 c=7.128 alpha=90.00 beta=90.00 gamma=90.00
Fractional coordinates of all 16 atoms:
1 Sm 0.000 0.000 0.000
2 Sm 0.000 0.500 0.500
3 Sm 0.500 0.000 0.500
4 Sm 0.500 0.500 0.000
5 Tl 0.000 0.000 0.500
6 Tl 0.000 0.500 0.000
7 Tl 0.500 0.000 0.000
8 Tl 0.500 0.500 0.500
9 Au 0.250 0.250 0.250
10 Au 0.250 0.250 0.750
11 Au 0.250 0.750 0.250
12 Au 0.250 0.750 0.750
13 Au 0.750 0.250 0.250
14 Au 0.750 0.250 0.750
15 Au 0.750 0.750 0.250
16 Au 0.750 0.750 0.750

Computed properties:
The energy comes out at -1.715 hartree per atom. As for the space group: Fm-3m (225).

***

# 6
## YbSmAu2 (meta-GGA r2SCAN)

Data for crystalline YbSmAu2 at its relaxed geometry.

Unit cell a=7.167 b=7.167 c=7.167 alpha=90.00 beta=90.00 gamma=90.00
Fractional coordinates of all 16 atoms:
1 Yb 0.000 0.000 0.000
2 Yb 0.000 0.500 0.500
3 Yb 0.500 0.000 0.500
4 Yb 0.500 0.500 0.000
5 Sm 0.000 0.000 0.500
6 Sm 0.000 0.500 0.000
7 Sm 0.500 0.000 0.000
8 Sm 0.500 0.500 0.500
9 Au 0.250 0.250 0.250
10 Au 0.250 0.250 0.750
11 Au 0.250 0.750 0.250
12 Au 0.250 0.750 0.750
13 Au 0.750 0.250 0.250
14 Au 0.750 0.250 0.750
15 Au 0.750 0.750 0.250
16 Au 0.750 0.750 0.750

Computed properties:
The energy comes out at -1.572 hartree per atom. As for the space group: Fm-3m (225).

***

# 7
## Sn2Au (meta-GGA r2SCAN)

Data for crystalline Sn2Au at its relaxed geometry.

Unit cell a=6.956 b=7.066 c=12.036 alpha=90.00 beta=90.00 gamma=90.00
Fractional coordinates of all 24 atoms:
1 Sn 0.129 0.019 0.174
2 Sn 0.129 0.481 0.674
3 Sn 0.144 0.243 0.412
4 Sn 0.144 0.257 0.912
5 Sn 0.356 0.743 0.412
6 Sn 0.356 0.757 0.912
7 Sn 0.371 0.519 0.174
8 Sn 0.371 0.981 0.674
9 Sn 0.629 0.019 0.326
10 Sn 0.629 0.481 0.826
11 Sn 0.644 0.243 0.088
12 Sn 0.644 0.257 0.588
13 Sn 0.856 0.743 0.088
14 Sn 0.856 0.757 0.588
15 Sn 0.871 0.519 0.326
16 Sn 0.871 0.981 0.826
17 Au 0.010 0.117 0.619
18 Au 0.010 0.383 0.119
19 Au 0.490 0.617 0.619
20 Au 0.490 0.883 0.119
21 Au 0.510 0.117 0.881
22 Au 0.510 0.383 0.381
23 Au 0.990 0.617 0.881
24 Au 0.990 0.883 0.381

Computed properties:
The energy comes out at -1.229 hartree per atom. As for the space group: Pbca (61).

***

# 8
## SnAu3 (meta-GGA r2SCAN)

Data for crystalline SnAu3 at its relaxed geometry.

Unit cell a=5.865 b=5.865 c=5.143 alpha=90.00 beta=90.00 gamma=120.00
Fractional coordinates of all 8 atoms:
1 Sn 0.333 0.667 0.250
2 Sn 0.667 0.333 0.750
3 Au 0.165 0.330 0.750
4 Au 0.165 0.835 0.750
5 Au 0.330 0.165 0.250
6 Au 0.670 0.835 0.750
7 Au 0.835 0.165 0.250
8 Au 0.835 0.670 0.250

Computed properties:
The energy comes out at -1.622 hartree per atom. As for the space group: P6_3/mmc (194).

***

# 9
## SnAu5 (meta-GGA r2SCAN)

Data for crystalline SnAu5 at its relaxed geometry.

Unit cell a=5.729 b=5.729 c=5.729 alpha=52.88 beta=52.88 gamma=52.88
Fractional coordinates of all 6 atoms:
1 Sn 0.000 0.000 0.000
2 Au 0.171 0.829 0.500
3 Au 0.330 0.330 0.330
4 Au 0.500 0.171 0.829
5 Au 0.670 0.670 0.670
6 Au 0.829 0.500 0.171

Computed properties:
The energy comes out at -1.701 hartree per atom. As for the space group: R32 (155).

***

# 10
## SnAu (meta-GGA r2SCAN)

Data for crystalline SnAu at its relaxed geometry.

Unit cell a=4.361 b=4.361 c=5.594 alpha=90.00 beta=90.00 gamma=120.00
Fractional coordinates of all 4 atoms:
1 Sn 0.333 0.667 0.250
2 Sn 0.667 0.333 0.750
3 Au 0.000 0.000 0.000
4 Au 0.000 0.000 0.500

Computed properties:
The energy comes out at -1.389 hartree per atom. As for the space group: P6_3/mmc (194).

***

# 11
## TbSnAu (meta-GGA r2SCAN)

Data for crystalline TbSnAu at its relaxed geometry.

Unit cell a=4.676 b=4.676 c=7.484 alpha=90.00 beta=90.00 gamma=120.00
Fractional coordinates of all 6 atoms:
1 Tb 0.000 0.000 0.000
2 Tb 0.000 0.000 0.500
3 Sn 0.333 0.667 0.226
4 Sn 0.667 0.333 0.726
5 Au 0.333 0.667 0.830
6 Au 0.667 0.333 0.330

Computed properties:
The energy comes out at -1.340 hartree per atom. As for the space group: P6_3mc (186).

***

# 12
## Tb2SnAu2 (meta-GGA r2SCAN)

Data for crystalline Tb2SnAu2 at its relaxed geometry.

Unit cell a=7.917 b=7.917 c=3.753 alpha=90.00 beta=90.00 gamma=90.00
Fractional coordinates of all 10 atoms:
1 Tb 0.170 0.330 0.000
2 Tb 0.330 0.830 0.000
3 Tb 0.670 0.170 0.000
4 Tb 0.830 0.670 0.000
5 Sn 0.000 0.000 0.500
6 Sn 0.500 0.500 0.500
7 Au 0.127 0.627 0.500
8 Au 0.373 0.127 0.500
9 Au 0.627 0.873 0.500
10 Au 0.873 0.373 0.500

Computed properties:
The energy comes out at -1.419 hartree per atom. As for the space group: P4/mbm (127).

***

# 13
## TmSnAu (meta-GGA r2SCAN)

Data for crystalline TmSnAu at its relaxed geometry.

Unit cell a=6.623 b=6.623 c=6.623 alpha=90.00 beta=90.00 gamma=90.00
Fractional coordinates of all 12 atoms:
1 Tm 0.000 0.000 0.000
2 Tm 0.000 0.500 0.500
3 Tm 0.500 0.000 0.500
4 Tm 0.500 0.500 0.000
5 Sn 0.000 0.000 0.500
6 Sn 0.000 0.500 0.000
7 Sn 0.500 0.000 0.000
8 Sn 0.500 0.500 0.500
9 Au 0.250 0.250 0.250
10 Au 0.250 0.750 0.750
11 Au 0.750 0.250 0.750
12 Au 0.750 0.750 0.250

Computed properties:
The energy comes out at -1.388 hartree per atom. As for the space group: F-43m (216).

***

# 14
## Sr7Au3 (meta-GGA r2SCAN)

Data for crystalline Sr7Au3 at its relaxed geometry.

Unit cell a=11.118 b=11.118 c=7.206 alpha=90.00 beta=90.00 gamma=120.00
Fractional coordinates of all 20 atoms:
1 Sr 0.084 0.542 0.000
2 Sr 0.125 0.250 0.678
3 Sr 0.125 0.875 0.678
4 Sr 0.250 0.125 0.178
5 Sr 0.333 0.667 0.472
6 Sr 0.458 0.542 0.000
7 Sr 0.458 0.916 0.000
8 Sr 0.542 0.084 0.500
9 Sr 0.542 0.458 0.500
10 Sr 0.667 0.333 0.972
11 Sr 0.750 0.875 0.678
12 Sr 0.875 0.125 0.178
13 Sr 0.875 0.750 0.178
14 Sr 0.916 0.458 0.500
15 Au 0.188 0.377 0.265
16 Au 0.188 0.812 0.265
17 Au 0.377 0.188 0.765
18 Au 0.623 0.812 0.265
19 Au 0.812 0.188 0.765
20 Au 0.812 0.623 0.765

Computed properties:
The energy comes out at -0.966 hartree per atom. As for the space group: P6_3mc (186).

***

# 15
## SrAu2 (meta-GGA r2SCAN)

Data for crystalline SrAu2 at its relaxed geometry.

Unit cell a=4.703 b=7.571 c=8.358 alpha=90.00 beta=90.00 gamma=90.00
Fractional coordinates of all 12 atoms:
1 Sr 0.000 0.250 0.038
2 Sr 0.000 0.750 0.962
3 Sr 0.500 0.250 0.462
4 Sr 0.500 0.750 0.538
5 Au 0.000 0.042 0.662
6 Au 0.000 0.458 0.662
7 Au 0.000 0.542 0.338
8 Au 0.000 0.958 0.338
9 Au 0.500 0.042 0.838
10 Au 0.500 0.458 0.838
11 Au 0.500 0.542 0.162
12 Au 0.500 0.958 0.162

Computed properties:
The energy comes out at -1.454 hartree per atom. As for the space group: Imma (74).

***

# 16
## Sr3Au2 (meta-GGA r2SCAN)

Data for crystalline Sr3Au2 at its relaxed geometry.

Unit cell a=8.338 b=8.338 c=8.338 alpha=70.63 beta=70.63 gamma=70.63
Fractional coordinates of all 15 atoms:
1 Sr 0.000 0.000 0.000
2 Sr 0.154 0.669 0.397
3 Sr 0.199 0.199 0.199
4 Sr 0.331 0.603 0.846
5 Sr 0.397 0.154 0.669
6 Sr 0.603 0.846 0.331
7 Sr 0.669 0.397 0.154
8 Sr 0.801 0.801 0.801
9 Sr 0.846 0.331 0.603
10 Au 0.046 0.409 0.842
11 Au 0.158 0.954 0.591
12 Au 0.409 0.842 0.046
13 Au 0.591 0.158 0.954
14 Au 0.842 0.046 0.409
15 Au 0.954 0.591 0.158

Computed properties:
The energy comes out at -1.103 hartree per atom. As for the space group: R-3 (148).

***

# 17
## SrAu (meta-GGA r2SCAN)

Data for crystalline SrAu at its relaxed geometry.

Unit cell a=6.204 b=4.689 c=40.736 alpha=90.00 beta=94.24 gamma=90.00
Fractional coordinates of all 40 atoms:
1 Sr 0.025 0.250 0.086
2 Sr 0.072 0.750 0.614
3 Sr 0.157 0.750 0.814
4 Sr 0.160 0.750 0.314
5 Sr 0.250 0.750 0.514
6 Sr 0.262 0.750 0.014
7 Sr 0.343 0.750 0.214
8 Sr 0.353 0.750 0.714
9 Sr 0.443 0.750 0.414
10 Sr 0.462 0.250 0.886
11 Sr 0.538 0.750 0.114
12 Sr 0.557 0.250 0.586
13 Sr 0.647 0.250 0.286
14 Sr 0.657 0.250 0.786
15 Sr 0.738 0.250 0.986
16 Sr 0.750 0.250 0.486
17 Sr 0.840 0.250 0.686
18 Sr 0.843 0.250 0.186
19 Sr 0.928 0.250 0.386
20 Sr 0.975 0.750 0.914
21 Au 0.044 0.250 0.558
22 Au 0.050 0.750 0.142
23 Au 0.136 0.250 0.258
24 Au 0.145 0.250 0.758
25 Au 0.226 0.250 0.958
26 Au 0.236 0.250 0.458
27 Au 0.326 0.250 0.658
28 Au 0.329 0.250 0.158
29 Au 0.413 0.250 0.358
30 Au 0.490 0.750 0.942
31 Au 0.510 0.250 0.058
32 Au 0.587 0.750 0.642
33 Au 0.671 0.750 0.842
34 Au 0.674 0.750 0.342
35 Au 0.764 0.750 0.542
36 Au 0.774 0.750 0.042
37 Au 0.855 0.750 0.242
38 Au 0.864 0.750 0.742
39 Au 0.950 0.250 0.858
40 Au 0.956 0.750 0.442

Computed properties:
The energy comes out at -1.238 hartree per atom. As for the space group: P2_1/m (11).

***

# 18
## Ta3Au (meta-GGA r2SCAN)

Data for crystalline Ta3Au at its relaxed geometry.

Unit cell a=5.215 b=5.215 c=5.215 alpha=90.00 beta=90.00 gamma=90.00
Fractional coordinates of all 8 atoms:
1 Ta 0.000 0.250 0.500
2 Ta 0.000 0.750 0.500
3 Ta 0.250 0.500 0.000
4 Ta 0.500 0.000 0.250
5 Ta 0.500 0.000 0.750
6 Ta 0.750 0.500 0.000
7 Au 0.000 0.000 0.000
8 Au 0.500 0.500 0.500

Computed properties:
The energy comes out at -1.806 hartree per atom. As for the space group: Pm-3n (223).

***

# 19
## TbAu3 (meta-GGA r2SCAN)

Data for crystalline TbAu3 at its relaxed geometry.

Unit cell a=5.009 b=6.248 c=5.096 alpha=90.00 beta=90.00 gamma=90.00
Fractional coordinates of all 8 atoms:
1 Tb 0.250 0.250 0.156
2 Tb 0.750 0.750 0.844
3 Au 0.250 0.508 0.661
4 Au 0.250 0.750 0.169
5 Au 0.250 0.992 0.661
6 Au 0.750 0.008 0.339
7 Au 0.750 0.250 0.831
8 Au 0.750 0.492 0.339

Computed properties:
The energy comes out at -1.710 hartree per atom. As for the space group: Pmmn (59).

***

# 20
## Tb2Au (meta-GGA r2SCAN)

Data for crystalline Tb2Au at its relaxed geometry.

Unit cell a=7.110 b=4.975 c=8.925 alpha=90.00 beta=90.00 gamma=90.00
Fractional coordinates of all 12 atoms:
1 Tb 0.010 0.250 0.175
2 Tb 0.149 0.250 0.585
3 Tb 0.351 0.750 0.085
4 Tb 0.490 0.750 0.675
5 Tb 0.510 0.250 0.325
6 Tb 0.649 0.250 0.915
7 Tb 0.851 0.750 0.415
8 Tb 0.990 0.750 0.825
9 Au 0.242 0.250 0.905
10 Au 0.258 0.750 0.405
11 Au 0.742 0.250 0.595
12 Au 0.758 0.750 0.095

Computed properties:
The energy comes out at -1.412 hartree per atom. As for the space group: Pnma (62).